Record 1
DFT (PBE) results for crystalline Bi14SO24 at its relaxed geometry.

```
39
Lattice="8.826 0.000 0.000 -0.022 8.857 0.000 -4.401 -4.428 8.570" Properties=species:S:1:pos:R:3 pbc="T T T"
O -2.175 -0.686 4.334
O 4.460 -0.041 1.996
O 3.681 6.638 4.267
O 0.721 -2.208 4.303
O -1.074 1.602 7.226
O -0.058 4.471 6.574
O -4.257 2.845 8.501
Bi -0.982 6.222 2.857
Bi 1.748 5.385 5.657
O -1.600 -1.071 7.215
Bi 2.654 -0.955 2.914
O 1.617 1.064 7.206
Bi 4.898 6.931 0.008
O 6.002 5.501 1.355
O 6.577 5.116 4.236
O 2.227 0.709 4.344
O -0.235 -0.089 1.580
Bi -1.828 3.457 5.671
Bi 2.569 -0.533 8.560
O 8.659 1.585 0.069
O 2.175 3.721 4.227
Bi 0.945 2.617 2.849
O 4.638 4.518 6.990
O 5.476 2.827 1.344
Bi -0.495 -2.502 8.563
Bi 4.407 4.416 2.725
O -0.013 4.414 1.984
O 4.416 0.015 6.587
Bi 6.230 0.973 2.899
Bi 3.458 1.812 5.721
O -0.706 2.177 4.325
S 0.000 0.000 0.000
Bi 1.833 4.963 0.011
O 5.108 2.253 4.245
Bi -0.005 0.014 5.845
O 3.321 6.062 1.353
O 2.786 3.366 1.364
Bi 5.385 -1.792 5.713
O 1.081 -1.633 7.218
```

Calculated values
**Energy of formation from the pure elements**: -61.71 eV/f.u.
**Space-group type**: No. 2
**Energy above the lowest structure with this stoichiometry**: 11.9 kJ per mole of atoms
**Electronic total energy**: -5.71 eV per atom


Record 2
DFT (PBE) results for crystalline Y3Sb4Au3 at its relaxed geometry.

```
20
Lattice="2.009 5.295 6.511 -8.301 1.054 -2.109 1.336 -8.173 2.422" Properties=species:S:1:pos:R:3 pbc="T T T"
Au -1.523 1.661 3.884
Sb -0.806 -3.899 0.837
Y -0.150 3.875 5.472
Y -0.771 -0.742 5.606
Y 0.634 -5.696 3.484
Sb 1.910 -2.891 4.897
Sb -1.598 -0.588 2.200
Au -4.805 -5.699 1.352
Y -3.432 -3.485 2.940
Sb -2.789 4.115 3.357
Y -4.469 1.035 3.396
Sb -3.794 1.467 0.102
Au -5.589 3.872 3.341
Au -4.185 -1.082 1.218
Au 1.722 -1.365 7.250
Sb -4.956 -3.372 -0.218
Sb 1.242 1.196 3.685
Sb -4.075 -1.500 5.613
Y -6.678 -0.459 -0.426
Au -0.487 -2.859 3.428
```

Calculated values
**Energy of formation from the pure elements**: -8.20 eV/f.u.
**Largest piezoelectric modulus**: 0.99 C/m2
**Space-group type**: No. 220
**Electronic total energy**: -5.39 eV per atom